Record 1
{"formula": "Ba2Tl3Au", "functional": "PBE", "state": "relaxed", "volume_a3_per_atom": 33.48, "total_energy_ev_per_atom": -2.813, "spacegroup": "Cm", "rho_kg_m3": 8967, "formation_energy_ev_per_atom": -0.45, "lattice_angstrom": [[-5.255, 0.000, 0.000], [-2.628, -4.277, 4.693], [2.628, 4.058, 4.484]], "species": ["Ba", "Ba", "Tl", "Tl", "Tl", "Au"], "frac_coords": [[0.749, 0.292, 0.790], [0.254, 0.704, 0.212], [0.955, 0.698, 0.608], [0.561, 0.118, 0.240], [0.442, 0.895, 0.779], [0.039, 0.294, 0.371]]}

---

Record 2
{"formula": "Na6Ca4Nb2P6S3O36", "functional": "PBE", "state": "relaxed", "volume_a3_per_atom": 14.91, "total_energy_ev_per_atom": -6.823, "spacegroup": "Cc", "rho_kg_m3": 2622, "formation_energy_ev_per_atom": -2.71, "lattice_angstrom": [[-7.125, 5.150, -2.693], [-1.187, -8.987, 1.652], [-4.840, 4.868, 22.111]], "species": ["Na", "Na", "Na", "Na", "Na", "Na", "Na", "Na", "Na", "Na", "Na", "Na", "Ca", "Ca", "Ca", "Ca", "Ca", "Ca", "Ca", "Ca", "Nb", "Nb", "Nb", "Nb", "P", "P", "P", "P", "P", "P", "P", "P", "P", "P", "P", "P", "S", "S", "S", "S", "S", "S", "O", "O", "O", "O", "O", "O", "O", "O", "O", "O", "O", "O", "O", "O", "O", "O", "O", "O", "O", "O", "O", "O", "O", "O", "O", "O", "O", "O", "O", "O", "O", "O", "O", "O", "O", "O", "O", "O", "O", "O", "O", "O", "O", "O", "O", "O", "O", "O", "O", "O", "O", "O", "O", "O", "O", "O", "O", "O", "O", "O", "O", "O", "O", "O", "O", "O", "O", "O", "O", "O", "O", "O"], "frac_coords": [[0.999, 0.651, 0.247], [0.652, 0.651, 0.747], [0.305, 0.343, 0.585], [0.665, 0.951, 0.581], [0.287, 0.951, 0.081], [0.038, 0.343, 0.085], [0.992, 0.978, 0.490], [0.986, 0.978, 0.990], [0.651, 0.303, 0.826], [0.652, 0.303, 0.326], [0.349, 0.664, 0.169], [0.315, 0.664, 0.669], [0.002, 0.011, 0.351], [0.008, 0.011, 0.851], [0.999, 0.998, 0.655], [0.998, 0.998, 0.155], [0.666, 0.329, 0.688], [0.664, 0.329, 0.188], [0.337, 0.667, 0.014], [0.331, 0.667, 0.514], [0.677, 0.346, 0.973], [0.669, 0.346, 0.473], [0.330, 0.667, 0.321], [0.337, 0.667, 0.821], [0.302, 0.989, 0.252], [0.009, 0.314, 0.250], [0.305, 0.314, 0.750], [0.686, 0.989, 0.752], [0.671, 0.628, 0.582], [0.957, 0.628, 0.082], [0.631, 0.664, 0.918], [0.036, 0.374, 0.921], [0.342, 0.969, 0.922], [0.626, 0.969, 0.422], [0.339, 0.374, 0.421], [0.033, 0.664, 0.418], [0.688, 0.700, 0.254], [0.012, 0.700, 0.754], [0.954, 0.330, 0.580], [0.379, 0.049, 0.579], [0.670, 0.049, 0.079], [0.376, 0.330, 0.080], [0.201, 0.000, 0.301], [0.797, 0.783, 0.303], [0.981, 0.195, 0.299], [0.215, 0.195, 0.799], [0.986, 0.783, 0.803], [0.800, 0.000, 0.801], [0.738, 0.941, 0.694], [0.217, 0.257, 0.691], [0.043, 0.796, 0.700], [0.753, 0.796, 0.200], [0.040, 0.257, 0.191], [0.203, 0.941, 0.194], [0.875, 0.342, 0.633], [0.475, 0.128, 0.632], [0.659, 0.532, 0.637], [0.873, 0.532, 0.137], [0.653, 0.128, 0.132], [0.468, 0.342, 0.133], [0.472, 0.322, 0.028], [0.838, 0.513, 0.028], [0.679, 0.155, 0.027], [0.476, 0.155, 0.527], [0.675, 0.513, 0.528], [0.850, 0.322, 0.528], [0.552, 0.682, 0.972], [0.119, 0.444, 0.978], [0.325, 0.883, 0.979], [0.558, 0.883, 0.479], [0.325, 0.444, 0.478], [0.130, 0.682, 0.472], [0.126, 0.636, 0.364], [0.497, 0.862, 0.371], [0.360, 0.500, 0.370], [0.139, 0.500, 0.870], [0.365, 0.862, 0.871], [0.510, 0.636, 0.864], [0.994, 0.801, 0.408], [0.800, 0.999, 0.411], [0.200, 0.198, 0.411], [0.998, 0.198, 0.911], [0.199, 0.999, 0.911], [0.808, 0.801, 0.908], [0.961, 0.171, 0.579], [0.215, 0.045, 0.579], [0.826, 0.802, 0.577], [0.976, 0.802, 0.077], [0.830, 0.045, 0.079], [0.210, 0.171, 0.079], [0.657, 0.136, 0.749], [0.492, 0.364, 0.750], [0.863, 0.531, 0.748], [0.668, 0.531, 0.248], [0.872, 0.364, 0.250], [0.480, 0.136, 0.249], [0.633, 0.489, 0.923], [0.856, 0.370, 0.922], [0.515, 0.147, 0.924], [0.632, 0.147, 0.424], [0.514, 0.370, 0.422], [0.856, 0.489, 0.423], [0.347, 0.473, 0.077], [0.131, 0.639, 0.078], [0.522, 0.880, 0.076], [0.359, 0.880, 0.576], [0.509, 0.639, 0.578], [0.127, 0.473, 0.577], [0.317, 0.822, 0.266], [0.516, 0.681, 0.263], [0.179, 0.492, 0.265], [0.313, 0.492, 0.765], [0.165, 0.681, 0.763], [0.505, 0.822, 0.766]]}

---

Record 3
{"formula": "Zr3V4Fe2", "functional": "PBE", "state": "relaxed", "volume_a3_per_atom": 15.86, "total_energy_ev_per_atom": -8.924, "spacegroup": "P-1", "rho_kg_m3": 6855, "formation_energy_ev_per_atom": -0.16, "lattice_angstrom": [[4.094, 2.930, -0.547], [-0.787, -3.886, -3.289], [-6.267, 7.868, -7.525]], "species": ["Zr", "Zr", "Zr", "Zr", "Zr", "Zr", "V", "V", "V", "V", "V", "V", "V", "V", "Fe", "Fe", "Fe", "Fe"], "frac_coords": [[0.337, 0.666, 0.920], [0.003, 0.001, 0.246], [0.668, 0.332, 0.583], [0.332, 0.668, 0.667], [0.997, 0.999, 0.004], [0.663, 0.334, 0.330], [0.167, 0.334, 0.457], [0.833, 0.666, 0.793], [0.337, 0.673, 0.287], [0.000, 0.000, 0.625], [0.663, 0.327, 0.963], [0.000, 0.500, 0.125], [0.666, 0.832, 0.458], [0.334, 0.168, 0.792], [0.500, 0.500, 0.125], [0.166, 0.833, 0.457], [0.834, 0.167, 0.793], [0.500, 0.000, 0.125]]}